1.
Below is a relaxed structure of K2Mn3As3O12, with properties calculated at the GGA+U level.

Cell and atoms, written as POSCAR:
```
K2Mn3As3O12
1.0
6.690 6.275 0.000
-6.690 6.275 0.000
0.000 2.834 6.509
O Mn As K
24 6 6 4
Cartesian
-2.465 4.681 4.442 O
2.465 10.703 2.067 O
-3.922 7.079 3.093 O
-4.468 6.815 5.763 O
-1.511 9.672 4.379 O
-0.056 10.628 0.832 O
4.468 8.569 0.746 O
1.848 9.699 4.792 O
-2.465 12.120 5.322 O
3.922 8.305 3.416 O
-1.848 5.685 1.717 O
0.056 4.756 5.677 O
1.511 8.255 1.124 O
-3.922 6.888 0.161 O
-1.848 8.282 1.538 O
-0.056 3.338 2.423 O
-4.468 9.986 4.001 O
1.848 7.102 4.971 O
2.465 3.264 1.187 O
4.468 5.398 2.508 O
1.511 5.712 2.130 O
3.922 8.496 6.348 O
0.056 12.046 4.087 O
-1.511 7.129 5.385 O
2.157 5.236 5.629 Mn
2.157 11.565 4.135 Mn
-2.157 3.819 2.374 Mn
-2.157 10.148 0.880 Mn
3.191 6.983 1.627 Mn
-3.191 8.401 4.882 Mn
2.981 8.401 4.882 As
1.524 4.044 2.442 As
1.524 9.923 0.813 As
-2.981 6.983 1.627 As
-1.524 11.340 4.068 As
-1.524 5.461 5.696 As
0.000 7.692 3.255 K
0.000 6.275 0.000 K
-6.516 6.983 1.627 K
6.516 8.401 4.882 K
```

Properties
Crystal system = monoclinic
E = -6.474 eV/atom
E_form = -1983 meV/atom

***

2.
Below is a relaxed structure of KMn6As7O24, with properties calculated at the GGA+U level.

Cell and atoms, written as POSCAR:
```
KMn6As7O24
1.0
28.177 0.000 0.000
0.000 5.617 0.000
0.000 2.059 6.594
O As Mn K
48 14 12 2
Cartesian
17.579 4.071 1.365 O
7.044 3.525 5.284 O
13.531 4.716 4.163 O
23.721 0.867 2.465 O
1.355 3.454 0.186 O
18.692 4.460 6.147 O
9.632 6.809 4.130 O
12.734 3.454 0.186 O
7.044 6.240 5.347 O
24.687 4.071 1.365 O
11.316 2.918 2.572 O
27.369 6.871 5.442 O
1.635 1.679 4.627 O
0.557 4.716 4.163 O
26.822 4.221 6.408 O
5.671 5.829 0.686 O
24.982 2.180 5.029 O
19.541 3.428 3.645 O
9.485 3.216 0.447 O
8.418 5.829 0.686 O
8.636 4.248 2.949 O
10.893 5.496 1.565 O
22.725 3.428 3.645 O
27.620 2.960 2.431 O
2.773 2.918 2.572 O
4.456 6.809 4.130 O
21.133 1.436 1.247 O
5.453 4.248 2.949 O
4.604 3.216 0.447 O
16.861 4.757 4.022 O
17.284 2.180 5.029 O
26.542 5.997 1.967 O
14.646 2.960 2.431 O
10.599 3.605 5.229 O
23.574 4.460 6.147 O
22.507 1.847 5.908 O
0.808 0.805 1.152 O
21.133 4.151 1.310 O
12.453 1.679 4.627 O
15.724 5.997 1.967 O
13.281 0.805 1.152 O
14.897 6.871 5.442 O
3.196 5.496 1.565 O
3.490 3.605 5.229 O
15.444 4.221 6.408 O
18.545 0.867 2.465 O
19.759 1.847 5.908 O
25.405 4.757 4.022 O
23.556 3.119 5.083 As
17.301 5.355 2.469 As
14.739 1.687 1.298 As
27.527 1.687 1.298 As
10.877 2.320 4.125 As
13.438 5.989 5.296 As
3.212 2.320 4.125 As
4.621 4.557 1.511 As
18.710 3.119 5.083 As
9.467 4.557 1.511 As
0.650 5.989 5.296 As
24.965 5.355 2.469 As
21.133 5.579 0.408 As
7.044 2.097 6.186 As
16.852 5.873 5.927 Mn
1.226 4.493 2.119 Mn
19.282 2.706 1.632 Mn
25.414 5.873 5.927 Mn
22.984 2.706 1.632 Mn
15.315 3.183 4.475 Mn
12.862 4.493 2.119 Mn
8.895 4.970 4.962 Mn
5.193 4.970 4.962 Mn
26.951 3.183 4.475 Mn
11.325 1.803 0.668 Mn
2.763 1.803 0.668 Mn
7.044 1.973 2.725 K
21.133 5.703 3.869 K
```

Properties
Crystal system = monoclinic
E = -6.678 eV/atom
E_form = -1916 meV/atom

***

Question: Which formula does entry 2 have?
Answer: KMn6As7O24

***

Question: Which formula does entry 1 have?
Answer: K2Mn3As3O12

***

Question: The highest E_form belongs to which entry?
Answer: KMn6As7O24